A plane-wave DFT calculation with PBE was carried out for a geometry-optimized Mg14Ge5O24 structure.

```
Mg14Ge5O24
1.0
10.354 0.000 0.000
0.000 14.688 0.000
0.000 0.000 6.018
Mg Ge O
28 10 48
Cartesian
0.000 0.000 0.000
0.000 7.344 0.000
0.839 2.475 1.527
0.839 2.475 4.490
1.518 9.906 0.000
1.849 12.106 3.009
2.575 7.413 1.552
2.575 7.413 4.466
2.602 0.068 1.552
2.602 0.068 4.466
3.329 4.762 3.009
3.660 2.562 0.000
4.338 9.819 1.527
4.338 9.819 4.490
5.177 0.000 0.000
5.177 7.344 0.000
6.016 4.869 1.527
6.016 4.869 4.490
6.695 12.126 0.000
7.026 9.926 3.009
7.752 14.620 1.552
7.752 14.620 4.466
7.779 7.276 1.552
7.779 7.276 4.466
8.506 2.582 3.009
8.837 4.782 0.000
9.515 12.213 1.527
9.515 12.213 4.490
0.000 0.000 3.009
0.013 9.189 3.009
1.807 4.611 0.000
3.370 11.955 0.000
5.164 1.845 3.009
5.177 7.344 3.009
5.191 12.843 3.009
6.984 2.733 0.000
8.548 10.078 0.000
10.341 5.499 3.009
0.037 10.991 3.009
0.229 3.759 0.000
0.805 13.574 1.658
0.805 13.574 4.360
0.842 8.606 1.515
0.842 8.606 4.503
1.573 1.156 3.009
1.686 6.113 3.009
1.745 1.262 0.000
1.763 6.353 0.000
2.576 3.771 1.369
2.576 3.771 4.649
2.602 11.116 1.369
2.602 11.116 4.649
3.414 13.697 0.000
3.432 8.606 0.000
3.491 13.457 3.009
3.605 8.500 3.009
4.335 1.261 1.515
4.335 1.261 4.503
4.372 6.230 1.658
4.372 6.230 4.360
4.948 11.103 0.000
5.140 3.646 3.009
5.214 11.042 3.009
5.406 3.585 0.000
5.982 8.458 1.658
5.982 8.458 4.360
6.019 13.427 1.515
6.019 13.427 4.503
6.750 6.188 3.009
6.863 1.231 3.009
6.922 6.082 0.000
6.941 0.991 0.000
7.753 3.573 1.369
7.753 3.573 4.649
7.779 10.917 1.369
7.779 10.917 4.649
8.591 8.335 0.000
8.609 13.426 0.000
8.668 8.575 3.009
8.782 13.532 3.009
9.512 6.083 1.515
9.512 6.083 4.503
9.549 1.114 1.658
9.549 1.114 4.360
10.126 10.929 0.000
10.318 3.698 3.009
```

Computed properties:
The value obtained for the calculated total energy is -268.04 eV per formula unit. The calculated formation energy is -2.80 eV/atom.

---

A plane-wave DFT calculation with PBE was carried out for a geometry-optimized MgGe3P2S4O24 structure.

```
MgGe3P2S4O24
1.0
8.383 0.000 0.000
4.182 7.272 0.000
0.134 -0.024 21.753
Mg Ge P S O
3 9 6 12 72
Cartesian
0.000 0.000 0.000
0.099 0.036 10.908
4.276 2.465 7.227
0.168 0.052 15.447
4.251 7.177 4.543
4.227 2.429 11.790
4.199 2.497 0.922
4.317 2.421 18.002
8.384 4.870 8.197
8.518 4.855 18.912
8.433 4.852 3.668
8.517 4.808 14.554
7.289 6.932 16.758
6.034 4.867 5.883
7.307 2.746 16.774
10.941 4.878 16.764
11.362 5.177 2.265
9.692 2.132 13.150
3.039 4.555 9.494
1.913 2.444 20.372
2.488 0.012 2.263
5.526 5.160 13.154
3.061 0.330 9.494
5.567 4.513 20.365
5.528 0.324 20.377
6.691 2.426 9.510
9.653 6.961 5.894
6.042 0.001 13.158
7.207 2.131 2.279
9.637 2.741 5.886
3.614 5.857 9.715
1.102 1.270 20.559
1.149 1.242 14.433
3.669 5.763 3.546
3.194 3.691 10.742
2.750 2.724 21.607
2.670 2.607 6.036
3.417 3.623 16.994
3.624 3.947 8.330
2.771 2.185 19.184
3.626 3.758 2.106
2.861 2.286 12.986
1.684 0.315 3.499
4.868 5.714 14.384
1.648 0.151 9.696
4.972 5.807 20.543
5.185 6.165 5.707
5.781 7.076 16.594
5.327 5.969 11.972
5.866 7.043 1.092
4.907 3.893 19.189
3.292 1.138 8.326
3.355 1.225 2.120
4.913 3.800 13.001
5.182 3.671 6.033
3.746 1.040 16.984
3.747 0.879 10.740
5.413 3.646 21.606
7.469 6.072 18.047
6.928 5.188 7.130
6.989 5.032 13.352
7.526 6.093 2.465
5.794 2.619 16.995
4.869 0.907 21.625
5.874 2.739 10.764
6.919 4.634 4.614
7.971 6.327 15.526
7.049 4.613 20.227
7.914 6.244 9.382
4.867 0.976 6.042
5.186 1.221 13.001
5.721 2.270 2.127
5.310 1.194 19.189
5.878 2.228 8.341
7.458 3.648 15.548
9.064 6.260 20.237
9.024 6.362 4.675
7.553 3.672 9.383
9.362 6.079 13.354
7.809 3.478 2.464
7.980 3.332 18.051
9.519 6.081 7.095
6.857 0.273 14.383
7.386 1.296 3.513
6.951 0.208 20.538
7.542 1.280 9.699
11.010 7.011 11.973
7.821 1.581 1.096
9.841 5.012 2.529
9.074 3.531 13.388
7.916 1.362 16.591
8.979 3.327 7.096
10.102 5.152 18.051
11.133 7.084 5.719
9.912 4.670 9.348
9.469 3.672 20.230
10.068 4.571 15.548
9.446 3.602 4.672
11.540 6.022 1.056
9.054 1.552 11.937
8.970 1.420 5.691
11.819 6.107 16.553
```

Computed properties:
The value obtained for the calculated total energy is -215.79 eV per formula unit. The calculated formation energy is -2.08 eV/atom.

---

A plane-wave DFT calculation with PBE was carried out for a geometry-optimized MgGeS3O12 structure.

```
MgGeS3O12
1.0
-0.243 2.316 8.147
-6.030 -5.050 -3.150
11.869 -17.495 5.328
Mg O S Ge
6 72 18 6
Cartesian
10.175 -14.997 4.567
6.024 -12.221 8.060
4.240 -6.250 1.903
0.090 -3.473 5.396
-3.817 -3.013 0.743
2.117 -11.760 3.407
4.000 -6.694 6.916
1.904 -12.461 7.519
8.514 -16.061 10.711
-4.057 -3.457 5.755
-1.690 -3.018 6.166
6.028 -14.982 4.926
-4.487 -4.478 1.926
5.254 -10.920 9.357
3.915 -12.150 2.624
7.902 -17.144 8.518
7.770 -12.113 9.028
9.548 -16.876 4.296
0.337 -11.305 4.176
8.678 -19.004 4.924
-3.096 -4.304 -0.602
-1.180 -9.624 3.185
1.887 -3.863 4.614
5.128 -9.038 5.927
-0.587 -3.061 3.569
6.729 -10.090 4.554
6.324 -20.553 5.080
-0.045 -11.192 -0.279
2.702 -9.869 3.624
0.969 -4.368 0.787
4.487 -15.840 9.781
1.154 -7.946 3.496
1.913 -7.872 7.699
0.715 -3.853 7.256
4.688 -16.382 3.312
-1.469 -0.846 2.916
-2.072 -2.905 1.711
-1.407 -7.480 5.753
1.491 -13.639 3.136
4.372 -8.707 8.698
9.254 -12.269 10.886
2.342 -15.104 7.084
2.270 -3.979 9.059
2.754 -10.339 6.943
6.650 -10.717 6.914
9.962 -15.698 8.679
-2.929 -5.801 4.766
0.128 -1.901 1.542
-0.537 -5.352 5.125
2.743 -12.141 5.266
0.634 0.193 7.291
-3.207 -1.337 5.175
0.675 -1.582 5.614
0.558 -9.133 0.927
6.877 -12.861 4.346
8.395 -14.542 5.337
5.875 -8.857 10.507
1.440 -11.348 1.579
3.940 -16.159 5.710
0.120 -6.490 1.362
3.470 -4.949 3.200
3.182 -16.233 1.506
-3.442 -7.786 -0.609
-0.873 0.341 5.485
-1.312 -10.275 5.555
-1.939 -7.936 1.200
4.770 -20.428 3.277
7.281 -19.207 7.368
7.155 -17.326 3.937
4.781 -18.627 4.954
4.297 -12.266 7.069
-1.328 -6.853 3.394
6.746 -13.512 6.716
2.661 -8.094 5.302
5.354 -13.686 9.243
5.699 -18.121 8.781
3.570 -7.715 3.086
6.399 -16.994 6.709
4.603 -16.734 1.842
8.585 -17.906 3.993
5.010 -20.126 4.667
-1.025 -2.252 2.458
2.786 -16.510 6.625
-1.500 -6.382 4.822
6.796 -17.942 7.861
2.982 -11.839 6.657
4.768 -9.655 9.851
-0.991 -10.746 4.230
-3.019 -2.458 6.219
2.576 -8.447 3.832
-3.046 -8.734 0.544
6.557 -9.619 5.983
1.002 -10.539 0.468
1.198 -5.868 0.500
7.066 -13.983 5.390
0.548 -0.160 5.821
7.698 -11.347 3.455
5.575 -16.857 4.959
9.482 -17.318 9.612
-0.360 -8.110 2.295
3.548 -8.570 6.948
1.763 -2.599 0.791
```

Computed properties:
The value obtained for the calculated total energy is -103.74 eV per formula unit. The calculated formation energy is -2.00 eV/atom.

---

A plane-wave DFT calculation with PBE was carried out for a geometry-optimized MgSiGe3S5O24 structure.

```
MgSiGe3S5O24
1.0
8.472 0.000 0.000
4.218 7.353 0.000
0.099 0.131 21.928
Mg Si Ge S O
3 3 9 15 72
Cartesian
0.000 0.000 0.000
4.301 7.412 10.908
4.308 2.565 18.222
2.528 0.089 13.181
7.271 2.827 5.924
10.923 4.932 5.921
0.126 0.117 15.375
4.233 2.455 11.819
4.297 2.580 7.181
4.234 2.468 0.888
8.499 5.026 14.525
8.547 5.024 19.174
8.497 4.849 3.762
8.563 4.886 8.114
8.420 0.046 4.680
3.058 5.293 13.213
3.093 4.718 20.503
1.833 2.526 9.536
5.496 5.242 2.263
3.095 0.445 20.507
5.508 4.631 9.562
6.078 5.019 16.863
7.260 7.067 5.918
5.482 0.371 9.527
6.781 2.571 20.503
9.786 7.133 16.847
10.209 7.350 2.251
7.291 2.228 13.211
9.740 2.881 16.848
9.697 2.162 2.250
3.657 6.027 20.712
0.997 1.369 9.701
3.679 5.874 14.483
1.082 1.313 3.467
3.242 3.848 21.757
2.674 2.836 10.767
2.695 2.755 17.014
3.341 3.612 6.142
3.678 4.097 19.333
2.698 2.260 8.351
1.647 0.401 14.584
3.688 3.963 13.077
2.742 2.299 2.093
4.872 5.913 9.705
1.679 0.283 20.716
4.843 5.818 3.472
5.231 6.237 16.722
5.802 7.192 5.719
5.855 7.130 11.939
5.275 6.034 1.066
4.860 3.996 8.376
3.325 1.258 19.330
4.855 3.858 2.101
3.490 1.427 13.039
5.262 3.844 17.035
3.649 1.037 6.097
5.333 3.749 10.810
3.779 1.015 21.752
7.415 6.230 7.138
6.932 5.320 18.094
6.971 5.111 2.427
7.692 6.129 13.481
7.900 6.506 4.687
5.693 2.614 6.135
6.941 4.744 15.680
6.985 4.754 9.412
4.841 0.971 10.773
7.978 6.425 20.370
5.957 2.890 21.756
4.962 1.075 17.026
5.128 1.249 2.088
5.829 2.404 13.081
5.249 1.240 8.339
5.952 2.365 19.335
7.410 3.750 4.582
9.029 6.396 9.407
9.139 6.499 15.670
7.633 3.836 20.370
9.325 6.171 2.442
7.941 3.552 13.450
7.958 3.473 7.251
9.621 6.265 18.092
7.435 1.382 14.482
6.815 0.302 3.452
6.909 0.253 9.721
7.634 1.429 20.717
11.009 7.114 1.065
7.909 1.652 12.047
10.038 5.298 7.242
9.083 3.483 18.089
9.098 3.514 2.398
10.061 5.127 13.450
11.276 7.239 16.681
7.983 1.399 5.675
10.043 4.825 20.372
9.478 3.769 9.438
9.524 3.753 15.644
10.039 4.671 4.574
11.658 6.130 12.050
9.069 1.556 16.727
9.102 1.573 1.067
11.889 6.203 5.682
```

Computed properties:
The value obtained for the calculated total energy is -211.27 eV per formula unit. The calculated formation energy is -1.98 eV/atom.